[1]
Below is crystalline TaSb3 at its relaxed geometry, with properties calculated at the PBE-GGA level.

Unit cell a=5.0981 b=5.0981 c=5.0981 alpha=60.00 beta=60.00 gamma=60.00
Last column: nearest neighbours and their distance in Å.
Positions (direct):
Ta 0.0000 0.0000 0.0000  8 Sb 3.12
Sb 0.2500 0.2500 0.2500  4 Ta 3.12, 4 Sb 3.12
Sb 0.7500 0.7500 0.7500  4 Ta 3.12, 4 Sb 3.12
Sb 0.5000 0.5000 0.5000  8 Sb 3.12

Calculated values
Total moment ... 0.00 μB per cell
Crystal system ... cubic
Calculated formation energy ... 0.38 eV/atom


[2]
Below is crystalline Tb5Sb3 at its relaxed geometry, with properties calculated at the PBE-GGA level.

Unit cell a=9.0363 b=9.0363 c=6.3345 alpha=90.00 beta=90.00 gamma=120.00
Last column: nearest neighbours and their distance in Å.
Positions (direct):
Tb 0.0000 0.7527 0.7500  5 Sb 3.08-3.41
Tb 0.0000 0.2473 0.2500  5 Sb 3.08-3.41
Tb 0.7527 0.7527 0.2500  5 Sb 3.08-3.41
Tb 0.7527 0.0000 0.7500  5 Sb 3.08-3.41
Tb 0.2473 0.2473 0.7500  5 Sb 3.08-3.41
Tb 0.2473 0.0000 0.2500  5 Sb 3.08-3.41
Tb 0.3333 0.6667 0.5000  2 Tb 3.17, 6 Sb 3.21
Tb 0.6667 0.3333 0.0000  2 Tb 3.17, 6 Sb 3.21
Tb 0.6667 0.3333 0.5000  2 Tb 3.17, 6 Sb 3.21
Tb 0.3333 0.6667 0.0000  2 Tb 3.17, 6 Sb 3.21
Sb 0.3883 0.0000 0.7500  9 Tb 3.08-3.41
Sb 0.3883 0.3883 0.2500  9 Tb 3.08-3.41
Sb 0.0000 0.6117 0.2500  9 Tb 3.08-3.41
Sb 0.0000 0.3883 0.7500  9 Tb 3.08-3.41
Sb 0.6117 0.6117 0.7500  9 Tb 3.08-3.41
Sb 0.6117 0.0000 0.2500  9 Tb 3.08-3.41

Calculated values
Crystal system ... hexagonal
Calculated formation energy ... -1.01 eV/atom


[3]
Below is crystalline TbSb3 at its relaxed geometry, with properties calculated at the PBE-GGA level.

Unit cell a=6.0067 b=6.0067 c=15.2381 alpha=90.00 beta=90.00 gamma=118.28
Last column: nearest neighbours and their distance in Å.
Positions (direct):
Tb 0.0000 0.0000 0.0000  4 Sb 3.00
Sb 0.0000 0.0000 0.5000  none within 6
Sb 0.5000 0.0000 0.0000  2 Tb 3.00, 2 Sb 3.08
Sb 0.0000 0.5000 0.0000  2 Tb 3.00, 2 Sb 3.08

Calculated values
Total moment ... 3.00 μB per cell
Crystal system ... orthorhombic
Calculated formation energy ... 0.71 eV/atom


[4]
Below is crystalline TbSb2 at its relaxed geometry, with properties calculated at the PBE-GGA level.

Unit cell a=4.3531 b=4.3531 c=17.7670 alpha=90.00 beta=90.00 gamma=90.07
Last column: nearest neighbours and their distance in Å.
Positions (direct):
Tb 0.6404 0.6404 0.1105  9 Sb 3.16-3.41
Tb 0.3596 0.3596 0.8895  9 Sb 3.16-3.41
Tb 0.8596 0.8596 0.6105  9 Sb 3.16-3.41
Tb 0.1404 0.1404 0.3895  9 Sb 3.16-3.41
Sb 0.6371 0.6371 0.4349  1 Sb 2.86, 4 Tb 3.16-3.20
Sb 0.3629 0.3629 0.5651  1 Sb 2.86, 4 Tb 3.16-3.20
Sb 0.8629 0.8629 0.9349  1 Sb 2.86, 4 Tb 3.16-3.20
Sb 0.1371 0.1371 0.0651  1 Sb 2.86, 4 Tb 3.16-3.20
Sb 0.1250 0.6250 0.2500  4 Sb 3.08, 4 Tb 3.26-3.34
Sb 0.3750 0.8750 0.7500  4 Sb 3.08, 4 Tb 3.26-3.34
Sb 0.8750 0.3750 0.7500  4 Sb 3.08, 4 Tb 3.26-3.34
Sb 0.6250 0.1250 0.2500  4 Sb 3.08, 4 Tb 3.26-3.34

Calculated values
Crystal system ... orthorhombic
Calculated formation energy ... -0.87 eV/atom


[5]
Below is crystalline Tb4Sb3 at its relaxed geometry, with properties calculated at the PBE-GGA level.

Unit cell a=7.9860 b=7.9860 c=7.9860 alpha=109.47 beta=109.47 gamma=109.47
Last column: nearest neighbours and their distance in Å.
Positions (direct):
Tb 0.5000 0.0000 0.3541  6 Sb 3.09-3.30
Tb 0.5000 0.0000 0.8541  6 Sb 3.09-3.30
Tb 0.6459 0.6459 0.6459  6 Sb 3.09-3.30
Tb 0.0000 0.3541 0.5000  6 Sb 3.09-3.30
Tb 0.1459 0.1459 0.1459  6 Sb 3.09-3.30
Tb 0.8541 0.5000 0.0000  6 Sb 3.09-3.30
Tb 0.0000 0.8541 0.5000  6 Sb 3.09-3.30
Tb 0.3541 0.5000 0.0000  6 Sb 3.09-3.30
Sb 0.1250 0.7500 0.8750  8 Tb 3.09-3.30
Sb 0.8750 0.1250 0.7500  8 Tb 3.09-3.30
Sb 0.6250 0.3750 0.2500  8 Tb 3.09-3.30
Sb 0.3750 0.2500 0.6250  8 Tb 3.09-3.30
Sb 0.7500 0.8750 0.1250  8 Tb 3.09-3.30
Sb 0.2500 0.6250 0.3750  8 Tb 3.09-3.30

Calculated values
Crystal system ... cubic
Calculated formation energy ... -1.09 eV/atom


[6]
Below is crystalline TbSb2 at its relaxed geometry, with properties calculated at the PBE-GGA level.

Unit cell a=3.6619 b=3.6619 c=7.5290 alpha=90.00 beta=90.00 gamma=121.49
Last column: nearest neighbours and their distance in Å.
Positions (direct):
Tb 0.0000 0.0000 0.0000  4 Sb 3.07
Sb 0.5000 0.0000 0.6730  2 Tb 3.07, 2 Sb 3.16
Sb 0.0000 0.5000 0.3270  2 Tb 3.07, 2 Sb 3.16

Calculated values
Total moment ... 0.00 μB per cell
Crystal system ... orthorhombic
Calculated formation energy ... -0.33 eV/atom


[7]
Below is crystalline Tb2ZnSb4 at its relaxed geometry, with properties calculated at the PBE-GGA level.

Unit cell a=4.3152 b=4.3152 c=10.0701 alpha=90.00 beta=90.00 gamma=90.00
Last column: nearest neighbours and their distance in Å.
Positions (direct):
Tb 0.5000 0.0000 0.7558  8 Sb 3.20-3.27, 2 Zn 3.36
Tb 0.0000 0.5000 0.2442  8 Sb 3.20-3.27, 2 Zn 3.36
Zn 0.5000 0.5000 0.5000  4 Sb 2.70
Sb 0.5000 0.0000 0.3395  2 Zn 2.70
Sb 0.0000 0.5000 0.6605  2 Zn 2.70
Sb 0.5000 0.5000 0.0000  4 Sb 3.05, 4 Tb 3.27
Sb 0.0000 0.0000 0.0000  4 Sb 3.05, 4 Tb 3.27

Calculated values
Crystal system ... tetragonal
Calculated formation energy ... -0.78 eV/atom


[8]
Below is crystalline TbZrSb at its relaxed geometry, with properties calculated at the PBE-GGA level.

Unit cell a=8.8918 b=8.8918 c=8.8918 alpha=152.11 beta=152.11 gamma=39.85
Last column: nearest neighbours and their distance in Å.
Positions (direct):
Tb 0.6768 0.6768 0.0000  5 Sb 3.12-3.19
Tb 0.3232 0.3232 0.0000  5 Sb 3.12-3.19
Zr 0.5000 0.0000 0.5000  4 Zr 3.03, 4 Sb 3.08
Zr 0.0000 0.5000 0.5000  4 Zr 3.03, 4 Sb 3.08
Sb 0.1326 0.1326 0.0000  4 Zr 3.08, 5 Tb 3.12-3.19
Sb 0.8674 0.8674 0.0000  4 Zr 3.08, 5 Tb 3.12-3.19

Calculated values
Crystal system ... tetragonal
Calculated formation energy ... -0.87 eV/atom


[9]
Below is crystalline SbTe at its relaxed geometry, with properties calculated at the PBE-GGA level.

Unit cell a=4.3515 b=4.3515 c=24.4922 alpha=90.00 beta=90.00 gamma=120.00
Last column: nearest neighbours and their distance in Å.
Positions (direct):
Sb 0.0000 0.0000 0.8687  6 Te 3.03-3.20
Sb 0.0000 0.0000 0.1313  6 Te 3.03-3.20
Sb 0.3333 0.6667 0.7072  6 Te 3.04-3.19
Sb 0.6667 0.3333 0.2928  6 Te 3.04-3.19
Sb 0.3333 0.6667 0.4682  3 Sb 2.95
Sb 0.6667 0.3333 0.5318  3 Sb 2.95
Te 0.3333 0.6667 0.9378  3 Sb 3.03
Te 0.6667 0.3333 0.0622  3 Sb 3.03
Te 0.3333 0.6667 0.2123  6 Sb 3.19-3.20
Te 0.6667 0.3333 0.7877  6 Sb 3.19-3.20
Te 0.0000 0.0000 0.6373  3 Sb 3.04
Te 0.0000 0.0000 0.3627  3 Sb 3.04

Calculated values
ΔE to the lowest computed polymorph ... 0 meV per atom
Crystal system ... trigonal
Calculated formation energy ... -0.31 eV/atom


[10]
Below is crystalline SbTe at its relaxed geometry, with properties calculated at the PBE-GGA level.

Unit cell a=3.5858 b=3.5858 c=4.9867 alpha=90.00 beta=90.00 gamma=115.27
Last column: nearest neighbours and their distance in Å.
Positions (direct):
Sb 0.0000 0.0000 0.0000  4 Te 3.15
Te 0.5000 0.5000 0.5000  4 Sb 3.15

Calculated values
ΔE to the lowest computed polymorph ... 364 meV per atom
Total moment ... 0.02 μB per cell
Crystal system ... orthorhombic
Calculated formation energy ... 0.05 eV/atom


[11]
Below is crystalline Sb2Te3 at its relaxed geometry, with properties calculated at the PBE-GGA level.

Unit cell a=5.7207 b=9.1628 c=5.7357 alpha=76.26 beta=90.00 gamma=108.19
Last column: nearest neighbours and their distance in Å.
Positions (direct):
Sb 0.1775 0.3551 0.2413  4 Te 2.85-3.02
Sb 0.8225 0.6449 0.7587  4 Te 2.85-3.02
Sb 0.0095 0.0190 0.7465  2 Sb 2.84-2.93, 1 Te 3.14
Sb 0.9905 0.9810 0.2535  2 Sb 2.84-2.93, 1 Te 3.14
Te 0.1907 0.3815 0.7361  3 Sb 2.85-3.14, 2 Te 3.13
Te 0.8093 0.6185 0.2639  3 Sb 2.85-3.14, 2 Te 3.13
Te 0.3784 0.7569 0.6868  2 Te 2.83-2.91, 2 Sb 3.02
Te 0.6216 0.2431 0.3132  2 Te 2.83-2.91, 2 Sb 3.02
Te 0.3838 0.7677 0.1889  4 Te 2.83-3.13
Te 0.6162 0.2323 0.8111  4 Te 2.83-3.13

Calculated values
Total moment ... 0.00 μB per cell
Crystal system ... monoclinic
Calculated formation energy ... 0.08 eV/atom


[12]
Below is crystalline SbTe at its relaxed geometry, with properties calculated at the PBE-GGA level.

Unit cell a=4.8399 b=4.8399 c=4.8399 alpha=50.37 beta=50.37 gamma=50.37
Last column: nearest neighbours and their distance in Å.
Positions (direct):
Sb 0.5000 0.5000 0.5000  6 Te 3.18
Te 0.0000 0.0000 0.0000  6 Sb 3.18

Calculated values
ΔE to the lowest computed polymorph ... 136 meV per atom
Total moment ... 0.00 μB per cell
Crystal system ... trigonal
Calculated formation energy ... -0.18 eV/atom